No. 1
48
Lattice="5.8154 -5.8145 0.0000 5.8154 5.8145 0.0000 -5.8087 0.0000 8.2207" Properties=species:S:1:pos:R:3 comment="Mn15CrO32 PBE with a Hubbard U optimized geometry" final_energy_ev_per_atom=-7.114 energy_corrected_mp2020_ev_per_cell=-390.46 ef_kj_per_mol_fu=-8205 volume_a3_per_atom=11.6 pbc="T T T"
Mn 0.0000 0.0000 0.0000
Mn 0.0034 2.9072 4.1103
Mn 1.4586 1.4701 2.0481
Mn -1.4454 1.4701 6.1546
Mn -2.9061 0.0000 8.2162
Mn 2.9111 2.9241 4.1103
Mn 1.4586 -1.4701 2.0481
Mn -1.4454 -1.4701 6.1546
Mn 0.0034 -2.9072 4.1103
Mn 7.2676 1.4701 2.0661
Mn 4.3636 1.4701 6.1726
Mn 2.9111 -2.9241 4.1103
Mn 8.7283 0.0000 0.0044
Mn 7.2676 -1.4701 2.0661
Mn 4.3636 -1.4701 6.1726
Cr 5.8154 0.0000 0.0000
O 1.4568 4.1856 4.0041
O 1.4480 1.2746 0.1267
O -0.1662 2.8900 6.0486
O 2.7455 2.9223 2.1661
O 0.1742 0.0000 1.9456
O -2.7340 0.0000 6.2727
O 1.4695 1.6340 3.9831
O 1.4480 -1.2746 0.1267
O -1.4613 1.2582 8.0876
O 4.3654 4.1856 4.2166
O 2.7463 0.0000 1.9256
O -0.1701 0.0000 6.2797
O 3.0766 2.9223 6.0546
O 5.9884 2.8900 2.1721
O -1.4613 -1.2582 8.0876
O 4.3526 1.6340 4.2376
O 1.4695 -1.6340 3.9831
O 7.2835 1.2582 0.1330
O -0.1662 -2.8900 6.0486
O 2.7455 -2.9223 2.1661
O 5.9923 0.0000 1.9410
O 3.0759 0.0000 6.2951
O 1.4568 -4.1856 4.0041
O 7.2835 -1.2582 0.1330
O 4.3741 1.2746 8.0940
O 4.3526 -1.6340 4.2376
O 8.5561 0.0000 1.9480
O 5.6479 0.0000 6.2751
O 3.0766 -2.9223 6.0546
O 5.9884 -2.8900 2.1721
O 4.3741 -1.2746 8.0940
O 4.3654 -4.1856 4.2166

No. 2
32
Lattice="5.8001 3.3487 3.2593 -5.8001 3.3487 3.2593 0.0000 -6.6974 3.2593" Properties=species:S:1:pos:R:3 comment="FeP3H6O6 PBE with a Hubbard U optimized geometry" final_energy_ev_per_atom=-5.596 energy_corrected_mp2020_ev_per_cell=-191.84 ef_kj_per_mol_fu=-2042 volume_a3_per_atom=11.9 pbc="T T T"
Fe 0.0000 0.0000 0.0000
Fe 0.0000 0.0000 4.8890
P -2.2107 -0.1314 2.3944
P 1.2192 -1.8488 2.3944
P 0.9915 1.9802 2.3944
P -0.9915 -1.9802 7.3836
P -1.2191 1.8488 7.3836
P 2.2107 0.1314 7.3836
H -3.6713 -1.8103 4.2609
H -2.2096 -3.5214 4.0992
H -4.1545 0.1529 5.6788
H -0.2679 -4.0846 5.5171
H -3.4034 2.2743 5.5171
H -1.9449 3.6743 4.0992
H 1.9448 -3.6743 5.6788
H 3.4034 -2.2743 4.2609
H 0.2679 4.0846 4.2609
H 4.1545 -0.1529 4.0992
H 2.2096 3.5214 5.6788
H 3.6713 1.8103 5.5171
O -1.5979 0.5153 1.1507
O 0.3526 -1.6415 1.1507
O -1.6492 0.3110 3.7454
O 1.2452 1.1261 1.1507
O 0.5553 -1.5838 3.7454
O -1.0940 -1.2728 6.0326
O 1.0940 1.2728 3.7454
O -0.5553 1.5838 6.0326
O -1.2452 -1.1261 8.6272
O 1.6492 -0.3110 6.0326
O -0.3526 1.6415 8.6272
O 1.5979 -0.5153 8.6272

No. 3
12
Lattice="-2.8517 2.8517 6.5391 2.8517 -2.8517 6.5391 2.8517 2.8517 -6.5391" Properties=species:S:1:pos:R:3 comment="BaMoO4 PBE with a Hubbard U optimized geometry" final_energy_ev_per_atom=-7.089 energy_corrected_mp2020_ev_per_cell=-96.97 ef_kj_per_mol_fu=-1537 volume_a3_per_atom=17.7 pbc="T T T"
Ba 0.0000 1.4258 1.6348
Ba 2.8517 1.4258 4.9043
Mo 2.8517 1.4258 -1.6348
Mo 0.0000 1.4258 8.1738
O 1.5158 0.7401 -0.6332
O 2.1660 -0.0899 2.6364
O 2.1660 2.7618 -2.6364
O 1.3359 -0.7401 5.9059
O 1.5158 3.5918 0.6332
O 0.6857 0.0899 9.1754
O 0.6857 2.9416 3.9027
O 1.3359 2.1116 7.1723

No. 4
11
Lattice="-2.9563 3.0220 4.2581 2.9563 -3.0220 4.2581 2.9563 3.0220 -4.2581" Properties=species:S:1:pos:R:3 comment="MgMoOsPb2O6 PBE with a Hubbard U optimized geometry" final_energy_ev_per_atom=-6.203 energy_corrected_mp2020_ev_per_cell=-75.56 ef_kj_per_mol_fu=-1425 volume_a3_per_atom=13.8 pbc="T T T"
Mg 0.0000 0.0000 0.0000
Mo 0.0000 3.0220 0.0000
Os 2.9563 0.0000 0.0000
Pb 0.0000 0.0000 2.7492
Pb 0.0000 0.0000 5.7670
O 1.4659 1.4318 0.0000
O 4.4467 1.4318 0.0000
O 2.9563 0.0000 2.0348
O 0.0000 3.0220 2.2233
O -1.4904 1.5902 4.2581
O 1.4904 1.5902 4.2581

No. 5
11
Lattice="5.0407 0.0000 0.0000 -1.8323 5.7322 0.0000 -1.9964 -2.1254 5.4931" Properties=species:S:1:pos:R:3 comment="MgMoP2O7 PBE with a Hubbard U optimized geometry" final_energy_ev_per_atom=-6.965 energy_corrected_mp2020_ev_per_cell=-84.63 ef_kj_per_mol_fu=-2578 volume_a3_per_atom=14.4 pbc="T T T"
Mg 0.0000 0.0000 0.0000
Mo 1.2360 1.5271 3.0945
P -0.8865 2.4535 0.5678
P -2.3486 4.2404 2.3978
O -2.8942 1.6201 5.1971
O -1.5585 2.8385 1.9973
O 0.5031 1.8700 1.0009
O 0.5626 -0.5053 2.7955
O 1.4468 -0.8057 5.3695
O 1.9243 4.6952 1.1805
O 1.7988 3.6874 3.5390

No. 6
4
Lattice="1.6122 0.9308 5.5753 -1.6122 0.9308 5.5753 0.0000 -1.8616 5.5753" Properties=species:S:1:pos:R:3 comment="MgMnO2 PBE with a Hubbard U optimized geometry" final_energy_ev_per_atom=-6.701 energy_corrected_mp2020_ev_per_cell=-29.85 ef_kj_per_mol_fu=-887 volume_a3_per_atom=12.6 pbc="T T T"
Mg 0.0000 0.0000 0.0000
Mn 0.0000 0.0000 2.7168
O 0.0000 0.0000 6.4212
O 0.0000 0.0000 14.7832

No. 7
10
Lattice="0.0000 4.1706 4.1706 4.1706 0.0000 4.1706 4.1706 4.1706 0.0000" Properties=species:S:1:pos:R:3 comment="Rb2LiMnF6 PBE with a Hubbard U optimized geometry" final_energy_ev_per_atom=-4.956 energy_corrected_mp2020_ev_per_cell=-54.00 ef_kj_per_mol_fu=-2845 volume_a3_per_atom=14.5 pbc="T T T"
Rb 2.0853 2.0853 2.0853
Rb 6.2559 6.2559 6.2559
Li 0.0000 0.0000 0.0000
Mn 4.1706 4.1706 4.1706
F 4.1706 4.1706 2.1944
F 4.1706 2.1944 4.1706
F 6.1468 4.1706 4.1706
F 2.1944 4.1706 4.1706
F 4.1706 6.1468 4.1706
F 4.1706 4.1706 6.1468

No. 8
15
Lattice="5.2185 -3.5245 0.0000 5.2185 3.5245 0.0000 -0.9634 0.0000 6.8385" Properties=species:S:1:pos:R:3 comment="Y2MgMo2Cl2O8 PBE with a Hubbard U optimized geometry" final_energy_ev_per_atom=-6.924 energy_corrected_mp2020_ev_per_cell=-115.75 ef_kj_per_mol_fu=-3497 volume_a3_per_atom=16.8 pbc="T T T"
Y 0.0000 0.0000 0.0000
Y 5.2952 0.0000 5.5070
Mg 2.1855 0.0000 5.8609
Mo 0.4322 0.0000 3.8677
Mo 4.0626 0.0000 1.5240
Cl 7.7232 0.0000 0.8171
Cl 8.1497 0.0000 4.4453
O -0.0775 0.0000 2.1683
O 2.3214 0.0000 0.8975
O 4.6754 1.2249 0.0755
O 2.3343 0.0000 3.8666
O 5.6648 2.2026 5.2724
O 5.0001 0.0000 3.0735
O 4.6754 -1.2249 0.0755
O 5.6648 -2.2026 5.2724